{
  "formula": "Na7Ca3HfP5SO24",
  "functional": "PBE",
  "state": "optimized geometry",
  "cell": [[9.4093, -0.0130, 0.0028], [-4.7159, 8.1569, -0.0086], [0.0073, -0.0220, 22.4781]],
  "species": ["O", "O", "O", "O", "O", "O", "O", "O", "O", "O", "O", "O", "O", "O", "O", "O", "O", "O", "O", "O", "O", "O", "O", "O", "O", "O", "O", "O", "O", "O", "O", "O", "O", "O", "O", "O", "O", "O", "O", "O", "O", "O", "O", "O", "O", "O", "O", "O", "O", "O", "O", "O", "O", "O", "O", "O", "O", "O", "O", "O", "O", "O", "O", "O", "O", "O", "O", "O", "O", "O", "O", "O", "Na", "Na", "Na", "Na", "Na", "Na", "Na", "Na", "Na", "Na", "Na", "Na", "Na", "Na", "Na", "Na", "Na", "Na", "Na", "Na", "Na", "Ca", "Ca", "Ca", "Ca", "Ca", "Ca", "Ca", "Ca", "Ca", "S", "S", "S", "P", "P", "P", "P", "P", "P", "P", "P", "P", "P", "P", "P", "P", "P", "P", "Hf", "Hf", "Hf"],
  "frac_coords": [[0.2073, 0.0340, 0.5789], [0.1381, 0.6566, 0.0797], [0.1591, 0.4733, 0.2496], [0.8404, 0.5049, 0.4242], [0.0870, 0.6471, 0.3576], [0.3667, 0.4519, 0.3618], [0.9798, 0.8097, 0.4160], [0.2141, 0.9907, 0.1929], [0.0065, 0.2319, 0.1892], [0.4838, 0.1528, 0.2532], [0.1914, 0.0009, 0.9120], [0.6605, 0.5465, 0.6415], [0.5190, 0.6600, 0.5802], [0.5372, 0.9095, 0.3619], [0.8482, 0.3307, 0.5360], [0.6326, 0.4839, 0.9189], [0.9788, 0.1737, 0.5796], [0.8552, 0.3626, 0.9198], [0.7806, 0.7850, 0.3044], [0.8303, 0.0300, 0.0748], [0.7358, 0.9507, 0.6863], [0.5515, 0.8773, 0.4736], [0.4481, 0.3399, 0.1424], [0.1263, 0.6885, 0.4698], [0.5002, 0.1488, 0.9201], [0.5100, 0.3396, 0.4225], [0.0260, 0.7773, 0.6925], [0.3402, 0.8690, 0.5778], [0.8509, 0.5157, 0.0300], [0.1337, 0.4962, 0.8702], [0.8891, 0.3337, 0.6468], [0.9918, 0.2056, 0.2966], [0.5207, 0.6709, 0.2504], [0.3381, 0.4420, 0.4746], [0.2005, 0.1728, 0.0740], [0.4846, 0.3345, 0.0305], [0.6659, 0.1065, 0.1458], [0.0112, 0.2027, 0.9116], [0.3462, 0.4852, 0.0783], [0.2024, 0.1753, 0.4180], [0.4612, 0.1324, 0.5241], [0.5114, 0.6415, 0.8695], [0.1374, 0.4870, 0.5825], [0.8327, 0.8014, 0.5780], [0.6787, 0.5300, 0.2515], [0.5178, 0.8617, 0.0805], [0.7759, 0.7883, 0.1960], [0.3489, 0.8623, 0.8727], [0.3183, 0.4981, 0.7603], [0.3261, 0.8381, 0.2492], [0.2147, 0.9983, 0.3059], [0.8108, 0.0122, 0.7938], [0.1130, 0.4413, 0.9801], [0.6600, 0.1587, 0.4260], [0.9898, 0.7796, 0.8049], [0.6653, 0.1525, 0.0343], [0.8111, 0.7915, 0.9113], [0.8872, 0.5500, 0.1425], [0.8108, 0.9971, 0.4154], [0.9658, 0.7969, 0.0749], [0.8604, 0.3380, 0.2500], [0.8604, 0.5102, 0.7524], [0.4896, 0.3622, 0.7519], [0.6665, 0.5218, 0.5297], [0.5138, 0.8280, 0.7626], [0.2238, 0.2238, 0.8090], [0.2099, 0.2471, 0.6965], [0.4647, 0.1227, 0.6319], [0.6595, 0.1379, 0.7476], [0.3187, 0.8931, 0.9822], [0.1693, 0.6739, 0.7604], [0.5678, 0.6734, 0.9794], [0.0140, 0.6500, 0.2504], [0.3325, 0.6791, 0.1596], [0.0438, 0.3393, 0.0718], [0.6629, 0.7017, 0.0710], [0.9934, 0.0198, 0.4953], [0.2958, 0.3471, 0.5863], [0.6742, 0.9543, 0.5853], [0.6212, 0.9962, 0.2506], [0.3668, 0.3513, 0.2540], [0.9822, 0.6774, 0.9024], [0.6904, 0.6801, 0.4204], [0.6438, 0.2946, 0.8255], [0.3251, 0.0083, 0.4096], [0.0254, 0.6916, 0.5892], [0.9797, 0.9998, 0.9923], [0.3341, 0.6725, 0.6733], [0.6610, 0.6497, 0.7474], [0.3207, 0.2970, 0.9033], [0.2934, 0.9600, 0.0760], [0.9870, 0.3439, 0.7469], [0.6690, 0.3185, 0.3366], [0.9990, 0.9983, 0.6574], [0.3267, 0.6575, 0.5115], [0.3385, 0.6730, 0.0110], [0.9971, 0.0011, 0.8472], [0.3272, 0.6632, 0.3259], [0.6632, 0.3324, 0.6859], [0.0059, 0.0098, 0.3511], [0.6625, 0.3291, 0.1788], [0.0067, 0.0004, 0.1449], [0.6898, 0.6941, 0.2506], [0.0039, 0.3109, 0.2463], [0.3668, 0.0380, 0.5789], [0.9632, 0.6320, 0.0828], [0.3377, 0.9755, 0.9224], [0.3106, 0.3251, 0.7541], [0.6348, 0.6543, 0.9202], [0.6698, 0.0352, 0.0847], [0.6421, 0.9828, 0.4192], [0.0153, 0.6667, 0.4167], [0.3469, 0.3522, 0.4192], [0.0271, 0.3689, 0.9210], [0.3086, 0.9950, 0.2501], [0.6695, 0.6351, 0.5836], [0.3676, 0.3336, 0.0823], [0.6835, 0.9890, 0.7474], [0.9656, 0.3302, 0.5874], [0.0089, 0.6881, 0.7521], [0.3365, 0.6751, 0.8214], [0.6796, 0.3405, 0.4829], [0.6664, 0.3289, 0.9817]],
  "e_form_ev_per_atom": -2.865,
  "energy_corrected_mp2020_ha_per_atom": -0.262,
  "rho_g_cm3": 2.98
}

{
  "formula": "Na7Ca2Hf2SiP5O24",
  "functional": "PBE",
  "state": "optimized geometry",
  "cell": [[9.2944, 0.0024, -0.0057], [-4.6452, 8.0565, 0.0057], [-0.0152, 0.0086, 22.5051]],
  "species": ["Na", "Na", "Na", "Na", "Na", "Na", "Na", "Na", "Na", "Na", "Na", "Na", "Na", "Na", "Na", "Na", "Na", "Na", "Na", "Na", "Na", "O", "O", "O", "O", "O", "O", "O", "O", "O", "O", "O", "O", "O", "O", "O", "O", "O", "O", "O", "O", "O", "O", "O", "O", "O", "O", "O", "O", "O", "O", "O", "O", "O", "O", "O", "O", "O", "O", "O", "O", "O", "O", "O", "O", "O", "O", "O", "O", "O", "O", "O", "O", "O", "O", "O", "O", "O", "O", "O", "O", "O", "O", "O", "O", "O", "O", "O", "O", "O", "O", "O", "O", "Hf", "Hf", "Hf", "Hf", "Hf", "Hf", "Ca", "Ca", "Ca", "Ca", "Ca", "Ca", "P", "P", "P", "P", "P", "P", "P", "P", "P", "P", "P", "P", "P", "P", "P", "Si", "Si", "Si"],
  "frac_coords": [[0.3442, 0.6797, 0.6715], [0.6915, 0.7019, 0.0855], [0.6630, 0.3344, 0.3380], [0.9663, 0.3128, 0.4219], [0.3479, 0.0307, 0.4257], [0.3509, 0.6865, 0.1728], [0.6499, 0.3336, 0.8389], [0.0154, 0.6441, 0.2554], [0.2977, 0.3082, 0.5844], [0.9678, 0.6541, 0.9270], [0.0072, 0.3634, 0.7574], [0.6780, 0.9808, 0.5924], [0.3494, 0.3609, 0.2563], [0.3537, 0.9836, 0.7550], [0.6328, 0.6536, 0.7525], [0.0153, 0.0027, 0.0038], [0.9962, 0.9854, 0.5045], [0.0179, 0.3241, 0.0901], [0.6888, 0.0353, 0.9213], [0.2976, 0.9811, 0.0888], [0.0209, 0.7019, 0.5877], [0.3819, 0.5167, 0.0783], [0.1446, 0.5120, 0.5781], [0.1187, 0.6609, 0.3555], [0.6778, 0.5357, 0.9178], [0.4761, 0.1301, 0.9210], [0.1559, 0.6329, 0.0787], [0.1514, 0.4608, 0.9696], [0.5244, 0.6500, 0.2535], [0.8129, 0.9704, 0.4120], [0.2138, 0.9971, 0.1903], [0.1544, 0.9629, 0.9155], [0.6794, 0.1222, 0.0216], [0.7747, 0.9836, 0.6872], [0.3063, 0.4582, 0.4682], [0.0371, 0.8449, 0.4120], [0.8243, 0.3055, 0.2479], [0.1997, 0.0282, 0.3020], [0.8164, 0.8494, 0.9153], [0.0102, 0.2240, 0.1912], [0.7011, 0.1893, 0.7468], [0.4843, 0.3638, 0.1427], [0.6369, 0.5197, 0.6426], [0.1780, 0.9910, 0.5852], [0.9755, 0.7976, 0.8038], [0.0199, 0.7925, 0.6924], [0.4618, 0.3211, 0.4165], [0.7981, 0.8066, 0.5893], [0.8659, 0.5029, 0.1378], [0.2166, 0.2279, 0.6883], [0.3660, 0.8446, 0.5789], [0.8756, 0.3669, 0.6358], [0.5117, 0.8536, 0.7536], [0.6915, 0.5487, 0.5322], [0.3062, 0.8381, 0.9683], [0.3353, 0.8838, 0.8565], [0.8593, 0.3293, 0.9214], [0.1084, 0.4516, 0.8575], [0.8743, 0.3230, 0.5240], [0.3273, 0.4462, 0.3555], [0.8294, 0.0279, 0.8045], [0.8169, 0.5276, 0.7477], [0.8709, 0.5554, 0.0208], [0.1380, 0.4727, 0.2553], [0.3212, 0.8571, 0.2545], [0.1477, 0.1842, 0.4137], [0.4757, 0.1789, 0.2488], [0.8726, 0.5246, 0.4209], [0.4440, 0.1286, 0.5199], [0.4771, 0.2998, 0.7475], [0.0282, 0.1847, 0.9144], [0.3321, 0.4698, 0.7557], [0.4851, 0.6221, 0.5785], [0.1655, 0.6993, 0.4672], [0.1912, 0.2075, 0.0926], [0.7703, 0.7725, 0.1865], [0.2012, 0.1720, 0.7993], [0.1299, 0.6558, 0.7572], [0.5574, 0.6712, 0.8556], [0.5414, 0.6923, 0.9683], [0.4903, 0.8568, 0.0785], [0.4937, 0.1343, 0.6371], [0.0087, 0.8211, 0.0865], [0.7067, 0.5207, 0.2486], [0.5503, 0.8550, 0.4748], [0.4448, 0.3007, 0.0330], [0.9763, 0.1805, 0.3034], [0.0012, 0.1983, 0.5878], [0.6757, 0.1432, 0.4224], [0.5303, 0.8856, 0.3644], [0.8045, 0.0035, 0.0887], [0.8254, 0.8001, 0.2978], [0.6342, 0.1312, 0.1326], [0.6637, 0.3262, 0.6839], [0.3301, 0.6616, 0.0172], [0.0007, 0.0049, 0.8507], [0.6721, 0.3325, 0.1845], [0.9925, 0.9952, 0.3504], [0.3404, 0.6715, 0.5171], [0.6629, 0.3393, 0.4817], [0.3341, 0.6643, 0.8195], [0.9945, 0.9972, 0.1531], [0.9994, 0.0000, 0.6522], [0.3456, 0.6744, 0.3165], [0.6601, 0.3362, 0.9831], [0.3041, 0.0114, 0.2486], [0.6403, 0.9635, 0.4174], [0.9892, 0.2957, 0.2491], [0.0433, 0.6773, 0.4131], [0.6562, 0.0305, 0.0797], [0.0364, 0.3580, 0.9151], [0.6572, 0.6262, 0.5848], [0.6438, 0.6800, 0.9138], [0.3220, 0.9595, 0.9146], [0.9717, 0.3454, 0.5806], [0.3050, 0.2946, 0.7470], [0.9882, 0.6941, 0.7497], [0.3737, 0.3431, 0.0858], [0.7031, 0.6887, 0.2461], [0.3184, 0.3570, 0.4129], [0.7003, 0.0079, 0.7477], [0.3669, 0.0260, 0.5795], [0.9735, 0.6319, 0.0805]],
  "e_form_ev_per_atom": -2.983,
  "energy_corrected_mp2020_ha_per_atom": -0.275,
  "rho_g_cm3": 3.44
}

{
  "formula": "Na6CaHf3Si2P4O24",
  "functional": "PBE",
  "state": "optimized geometry",
  "cell": [[13.2255, 0.0160, -8.8930], [-0.0086, 9.1366, -0.0290], [-0.1840, -0.0305, 9.1899]],
  "species": ["O", "O", "O", "O", "O", "O", "O", "O", "O", "O", "O", "O", "O", "O", "O", "O", "O", "O", "O", "O", "O", "O", "O", "O", "O", "O", "O", "O", "O", "O", "O", "O", "O", "O", "O", "O", "O", "O", "O", "O", "O", "O", "O", "O", "O", "O", "O", "O", "Si", "Si", "Si", "Si", "Na", "Na", "Na", "Na", "Na", "Na", "Na", "Na", "Na", "Na", "Na", "Na", "Ca", "Ca", "P", "P", "P", "P", "P", "P", "P", "P", "Hf", "Hf", "Hf", "Hf", "Hf", "Hf"],
  "frac_coords": [[0.1484, 0.6811, 0.3991], [0.4722, 0.1445, 0.4187], [0.4081, 0.6266, 0.2549], [0.7723, 0.6820, 0.2630], [0.5539, 0.4473, 0.4262], [0.3546, 0.0748, 0.7533], [0.4416, 0.8481, 0.9403], [0.7407, 0.1759, 0.2497], [0.6556, 0.8798, 0.9270], [0.4229, 0.3474, 0.7551], [0.9414, 0.9395, 0.0934], [0.2407, 0.6759, 0.2497], [0.5677, 0.5405, 0.9014], [0.7494, 0.3581, 0.7281], [0.0679, 0.1552, 0.2627], [0.9081, 0.1266, 0.2549], [0.8624, 0.3486, 0.6078], [0.0670, 0.8427, 0.7197], [0.6484, 0.1811, 0.3991], [0.6539, 0.9484, 0.2599], [0.0418, 0.3270, 0.5794], [0.6607, 0.0775, 0.7285], [0.1556, 0.3798, 0.9270], [0.3527, 0.9144, 0.2582], [0.9291, 0.0445, 0.5689], [0.0463, 0.6661, 0.0667], [0.5463, 0.1661, 0.0667], [0.1539, 0.4484, 0.2599], [0.2455, 0.3122, 0.7568], [0.9722, 0.6445, 0.4187], [0.4291, 0.5445, 0.5689], [0.4414, 0.4395, 0.0934], [0.0677, 0.0405, 0.9014], [0.8527, 0.4144, 0.2582], [0.3543, 0.1363, 0.0723], [0.1607, 0.5775, 0.7285], [0.0539, 0.9473, 0.4262], [0.3624, 0.8486, 0.6078], [0.2494, 0.8581, 0.7281], [0.5670, 0.3427, 0.7197], [0.2723, 0.1820, 0.2630], [0.5679, 0.6552, 0.2627], [0.9416, 0.3481, 0.9403], [0.8546, 0.5748, 0.7533], [0.8543, 0.6363, 0.0723], [0.7455, 0.8122, 0.7568], [0.5418, 0.8270, 0.5794], [0.9229, 0.8474, 0.7551], [0.6524, 0.8999, 0.7497], [0.3568, 0.0961, 0.2527], [0.1524, 0.3999, 0.7497], [0.8568, 0.5961, 0.2527], [0.4983, 0.8900, 0.2363], [0.0115, 0.5933, 0.7668], [0.1823, 0.0784, 0.8009], [0.5115, 0.0933, 0.7668], [0.7483, 0.7458, 0.4880], [0.7516, 0.2457, 0.0014], [0.7992, 0.9244, 0.2141], [0.2483, 0.2458, 0.4880], [0.2516, 0.7457, 0.0014], [0.2992, 0.4244, 0.2141], [0.6823, 0.5784, 0.8009], [0.9983, 0.3900, 0.2363], [0.6010, 0.7415, 0.0599], [0.1010, 0.2415, 0.0599], [0.4967, 0.5438, 0.2603], [0.4949, 0.4477, 0.7376], [0.8528, 0.4035, 0.7603], [0.9949, 0.9477, 0.7376], [0.1470, 0.6156, 0.2429], [0.9967, 0.0438, 0.2603], [0.6470, 0.1156, 0.2429], [0.3528, 0.9035, 0.7603], [0.6051, 0.2469, 0.5551], [0.3968, 0.7532, 0.4452], [0.8954, 0.7556, 0.9377], [0.3954, 0.2556, 0.9377], [0.1051, 0.7469, 0.5551], [0.8968, 0.2532, 0.4452]],
  "e_form_ev_per_atom": -3.100,
  "energy_corrected_mp2020_ha_per_atom": -0.289,
  "rho_g_cm3": 3.87
}

{
  "formula": "Na6CaHf3Si2P4O24",
  "functional": "PBE",
  "state": "optimized geometry",
  "cell": [[-0.8499, 7.9984, -4.3921], [-5.7240, -6.9278, -1.9025], [-14.2336, 7.2868, 16.0922]],
  "species": ["Si", "Si", "Si", "Si", "Si", "Si", "Ca", "Ca", "Ca", "O", "O", "O", "O", "O", "O", "O", "O", "O", "O", "O", "O", "O", "O", "O", "O", "O", "O", "O", "O", "O", "O", "O", "O", "O", "O", "O", "O", "O", "O", "O", "O", "O", "O", "O", "O", "O", "O", "O", "O", "O", "O", "O", "O", "O", "O", "O", "O", "O", "O", "O", "O", "O", "O", "O", "O", "O", "O", "O", "O", "O", "O", "O", "O", "O", "O", "O", "O", "O", "O", "O", "O", "Na", "Na", "Na", "Na", "Na", "Na", "Na", "Na", "Na", "Na", "Na", "Na", "Na", "Na", "Na", "Na", "Na", "Na", "P", "P", "P", "P", "P", "P", "P", "P", "P", "P", "P", "P", "Hf", "Hf", "Hf", "Hf", "Hf", "Hf", "Hf", "Hf", "Hf"],
  "frac_coords": [[0.3384, 0.9653, 0.9147], [0.6226, 0.9675, 0.4179], [0.6266, 0.6637, 0.9164], [0.9734, 0.6387, 0.0849], [0.0390, 0.3747, 0.9155], [0.6692, 0.6393, 0.5866], [0.6553, 0.3290, 0.6835], [0.0030, 0.0025, 0.3515], [0.6585, 0.3290, 0.1776], [0.1815, 0.1780, 0.0885], [0.0228, 0.1894, 0.9106], [0.8088, 0.9877, 0.4201], [0.4450, 0.3076, 0.0247], [0.1213, 0.6326, 0.3595], [0.6870, 0.5346, 0.5294], [0.1913, 0.1968, 0.8093], [0.2985, 0.8390, 0.9701], [0.1278, 0.4972, 0.8577], [0.4987, 0.1533, 0.9236], [0.2918, 0.8156, 0.2518], [0.5411, 0.6897, 0.9750], [0.5112, 0.6774, 0.5773], [0.4550, 0.1472, 0.5253], [0.6348, 0.1533, 0.4215], [0.0165, 0.2042, 0.1972], [0.1776, 0.1962, 0.6981], [0.5249, 0.7026, 0.2519], [0.6998, 0.1517, 0.7506], [0.9758, 0.1659, 0.5868], [0.1702, 0.6960, 0.7516], [0.5359, 0.8241, 0.7519], [0.6372, 0.0843, 0.1449], [0.8514, 0.5395, 0.7523], [0.3278, 0.8504, 0.5703], [0.8617, 0.4911, 0.4225], [0.7980, 0.9790, 0.6917], [0.1431, 0.4805, 0.5729], [0.5043, 0.6334, 0.8589], [0.2297, 0.0053, 0.3141], [0.0193, 0.8098, 0.4168], [0.2895, 0.4686, 0.7521], [0.8391, 0.3027, 0.5331], [0.1593, 0.6595, 0.0735], [0.9079, 0.5312, 0.1446], [0.1688, 0.4819, 0.2520], [0.6416, 0.4928, 0.9233], [0.1772, 0.9813, 0.2030], [0.6394, 0.5428, 0.6476], [0.8557, 0.3614, 0.9250], [0.1948, 0.0266, 0.5877], [0.1695, 0.9848, 0.9103], [0.6903, 0.1565, 0.0361], [0.1480, 0.6635, 0.4694], [0.4631, 0.3224, 0.7538], [0.3272, 0.4739, 0.4720], [0.8401, 0.8298, 0.5862], [0.9888, 0.2106, 0.3094], [0.1937, 0.2050, 0.4169], [0.3661, 0.8756, 0.8570], [0.6771, 0.5306, 0.2446], [0.8010, 0.8256, 0.1989], [0.9797, 0.8225, 0.0908], [0.7895, 0.7807, 0.3099], [0.0049, 0.8087, 0.8082], [0.4792, 0.1319, 0.2469], [0.4735, 0.3753, 0.1336], [0.8203, 0.8220, 0.9110], [0.5158, 0.8493, 0.4733], [0.5078, 0.8702, 0.3579], [0.3356, 0.4895, 0.0728], [0.8383, 0.5355, 0.0303], [0.8391, 0.0256, 0.0878], [0.8495, 0.3249, 0.2473], [0.1614, 0.4646, 0.9720], [0.5128, 0.3782, 0.4219], [0.8179, 0.9944, 0.8023], [0.4843, 0.0980, 0.6329], [0.0175, 0.8198, 0.6969], [0.5258, 0.8466, 0.0735], [0.8994, 0.3583, 0.6431], [0.3612, 0.4892, 0.3620], [0.9904, 0.3706, 0.7464], [0.3281, 0.0300, 0.4109], [0.6499, 0.3291, 0.3222], [0.3257, 0.6626, 0.6660], [0.6481, 0.3003, 0.8322], [0.3356, 0.3058, 0.9178], [0.6633, 0.6802, 0.0783], [0.9987, 0.9968, 0.9990], [0.0228, 0.3450, 0.0846], [0.9845, 0.6238, 0.2378], [0.6654, 0.9750, 0.5860], [0.6526, 0.0153, 0.2425], [0.9718, 0.6683, 0.9190], [0.3227, 0.6658, 0.1612], [0.9605, 0.2823, 0.4114], [0.7130, 0.6875, 0.4164], [0.9988, 0.9947, 0.5016], [0.6318, 0.6183, 0.7418], [0.0105, 0.7150, 0.7522], [0.2974, 0.9909, 0.2547], [0.6984, 0.7049, 0.2520], [0.3624, 0.3356, 0.0803], [0.6684, 0.0291, 0.0858], [0.0391, 0.6535, 0.4171], [0.2843, 0.2944, 0.7528], [0.3659, 0.0330, 0.5805], [0.0057, 0.3038, 0.2519], [0.9664, 0.3312, 0.5855], [0.3453, 0.3836, 0.4183], [0.7097, 0.9910, 0.7491], [0.0062, 0.9964, 0.6456], [0.6675, 0.3384, 0.4856], [0.3355, 0.6653, 0.5212], [0.0086, 0.0017, 0.1495], [0.6684, 0.3318, 0.9809], [0.9972, 0.9998, 0.8565], [0.3366, 0.6754, 0.8155], [0.3335, 0.6742, 0.0136], [0.3375, 0.6674, 0.3131]],
  "e_form_ev_per_atom": -3.101,
  "energy_corrected_mp2020_ha_per_atom": -0.290,
  "rho_g_cm3": 3.85
}